(1)
A geometry-optimized Li2Ge2O5 structure, computed with PBE.

Computed properties:
- total DFT energy (no corrections) (eV/cell) = -218.3
- largest piezoelectric modulus (C/m2) = 0.66

The structure in CIF format:
```
data_Li2Ge2O5
_cell_length_a 6.047
_cell_length_b 15.476
_cell_length_c 5.044
_cell_angle_alpha 90.00
_cell_angle_beta 90.00
_cell_angle_gamma 90.00
_space_group_name_H-M_alt 'C c c 2'
_space_group_IT_number 37
loop_
_space_group_symop_operation_xyz
'x,y,z'
'-x,-y,z'
'-x,y,z+1/2'
'x,-y,z+1/2'
'x+1/2,y+1/2,z'
'-x+1/2,-y+1/2,z'
'-x+1/2,y+1/2,z+1/2'
'x+1/2,-y+1/2,z+1/2'
loop_
_atom_site_label
_atom_site_type_symbol
_atom_site_fract_x
_atom_site_fract_y
_atom_site_fract_z
Li1 Li 0.151 0.056 0.000
Ge1 Ge 0.160 0.354 0.507
O1 O 0.112 0.365 0.156
O2 O 0.161 0.067 0.612
O3 O 0.250 0.250 0.600
```

(2)
A geometry-optimized TiF3 structure, computed with PBE.

Computed properties:
- total DFT energy (no corrections) (eV/cell) = -104.1
- spin magnetization (μB/f.u.) = 0.00

The structure in CIF format:
```
data_TiF3
_cell_length_a 6.824
_cell_length_b 9.345
_cell_length_c 5.112
_cell_angle_alpha 90.00
_cell_angle_beta 113.30
_cell_angle_gamma 90.00
_space_group_name_H-M_alt 'C 1 2/c 1'
_space_group_IT_number 15
loop_
_space_group_symop_operation_xyz
'x,y,z'
'-x,-y,-z'
'-x,y,-z+1/2'
'x,-y,z+1/2'
'x+1/2,y+1/2,z'
'-x+1/2,-y+1/2,-z'
'-x+1/2,y+1/2,-z+1/2'
'x+1/2,-y+1/2,z+1/2'
loop_
_atom_site_label
_atom_site_type_symbol
_atom_site_fract_x
_atom_site_fract_y
_atom_site_fract_z
Ti1 Ti 0.000 0.000 0.000
F1 F 0.000 0.164 0.250
F2 F 0.211 0.083 0.861
```

(3)
A geometry-optimized GaSe structure, computed with PBE.

Computed properties:
- total DFT energy (no corrections) (eV/cell) = -27.6
- spin magnetization (μB/f.u.) = 0.00

The structure in CIF format:
```
data_GaSe
_cell_length_a 3.9269
_cell_length_b 3.9269
_cell_length_c 16.9846
_cell_angle_alpha 90.00
_cell_angle_beta 90.00
_cell_angle_gamma 120.00
_space_group_name_H-M_alt 'P 63/m m c'
_space_group_IT_number 194
_space_group_name_Hall '-P 6c 2c'
loop_
_atom_site_label
_atom_site_type_symbol
_atom_site_fract_x
_atom_site_fract_y
_atom_site_fract_z
Ga1 Ga 0.3333 0.6667 0.0945
Se1 Se 0.3333 0.6667 0.6681
```